# 1
The following is a DFT calculation (PBE) of a relaxed Ho2Fe17H3 crystal.

Results
Volume   11.75 Å³ per atom
Energy relative to the elements   -88 meV/atom

Geometry as CIF:
```
data_Ho2Fe17H3
_chemical_formula_sum 'Ho4 Fe34 H6'
_cell_length_a 8.5482
_cell_length_b 8.5482
_cell_length_c 8.1720
_cell_angle_alpha 90.00
_cell_angle_beta 90.00
_cell_angle_gamma 120.00
_symmetry_space_group_name_H-M 'P 63/m m c'
_symmetry_Int_Tables_number 194
_symmetry_space_group_name_Hall '-P 6c 2c'
loop_
_atom_site_label
_atom_site_type_symbol
_atom_site_fract_x
_atom_site_fract_y
_atom_site_fract_z
Ho1 Ho 0.0000 0.0000 0.2500
Ho2 Ho 0.3333 0.6667 0.2500
Fe1 Fe 0.0000 0.5000 0.0000
Fe2 Fe 0.0489 0.3775 0.7500
Fe3 Fe 0.1668 0.3335 0.0170
Fe4 Fe 0.3333 0.6667 0.6042
H1 H 0.1648 0.3295 0.2500
```


# 2
The following is a DFT calculation (PBE) of a relaxed LaFe5H2 crystal.

Results
Volume   12.06 Å³ per atom
Energy relative to the elements   -82 meV/atom

Geometry as CIF:
```
data_LaFe5H2
_chemical_formula_sum 'La2 Fe10 H4'
_cell_length_a 5.165
_cell_length_b 9.004
_cell_length_c 4.150
_cell_angle_alpha 90.00
_cell_angle_beta 90.00
_cell_angle_gamma 90.00
_symmetry_space_group_name_H-M 'C m m m'
_symmetry_Int_Tables_number 65
_symmetry_space_group_name_Hall '-C 2 2'
loop_
_atom_site_label
_atom_site_type_symbol
_atom_site_fract_x
_atom_site_fract_y
_atom_site_fract_z
La1 La 0.000 0.000 0.000
Fe1 Fe 0.000 0.337 0.000
Fe2 Fe 0.000 0.500 0.500
Fe3 Fe 0.250 0.250 0.500
H1 H 0.000 0.133 0.500
```


# 3
The following is a DFT calculation (PBE) of a relaxed SrMg2FeH8 crystal.

Results
Volume   9.60 Å³ per atom
Energy relative to the elements   -492 meV/atom

Geometry as CIF:
```
data_SrMg2FeH8
_chemical_formula_sum 'Sr1 Mg2 Fe1 H8'
_cell_length_a 4.5008
_cell_length_b 4.5008
_cell_length_c 6.5675
_cell_angle_alpha 90.00
_cell_angle_beta 90.00
_cell_angle_gamma 120.00
_symmetry_space_group_name_H-M 'P -3 m 1'
_symmetry_Int_Tables_number 164
_symmetry_space_group_name_Hall '-P 3 2"'
loop_
_atom_site_label
_atom_site_type_symbol
_atom_site_fract_x
_atom_site_fract_y
_atom_site_fract_z
Sr1 Sr 0.0000 0.0000 0.0000
Mg1 Mg 0.3333 0.6667 0.3777
Fe1 Fe 0.0000 0.0000 0.5000
H1 H 0.1613 0.3225 0.6441
H2 H 0.3333 0.6667 0.0856
```


# 4
The following is a DFT calculation (PBE) of a relaxed NdTiFe11H crystal.

Results
Volume   12.34 Å³ per atom
Energy relative to the elements   -75 meV/atom

Geometry as CIF:
```
data_NdTiFe11H
_chemical_formula_sum 'Nd2 Ti2 Fe22 H2'
_cell_length_a 4.752
_cell_length_b 8.560
_cell_length_c 8.496
_cell_angle_alpha 90.00
_cell_angle_beta 90.00
_cell_angle_gamma 90.00
_symmetry_space_group_name_H-M 'I m m 2'
_symmetry_Int_Tables_number 44
loop_
_symmetry_equiv_pos_as_xyz
'x,y,z'
'-x,-y,z'
'-x,y,z'
'x,-y,z'
'x+1/2,y+1/2,z+1/2'
'-x+1/2,-y+1/2,z+1/2'
'-x+1/2,y+1/2,z+1/2'
'x+1/2,-y+1/2,z+1/2'
loop_
_atom_site_label
_atom_site_type_symbol
_atom_site_fract_x
_atom_site_fract_y
_atom_site_fract_z
Nd1 Nd 0.000 0.000 0.000
Ti1 Ti 0.000 0.000 0.374
Fe1 Fe 0.000 0.000 0.649
Fe2 Fe 0.000 0.274 0.508
Fe3 Fe 0.000 0.359 0.006
Fe4 Fe 0.000 0.500 0.274
Fe5 Fe 0.000 0.500 0.734
Fe6 Fe 0.249 0.248 0.755
H1 H 0.000 0.500 0.505
```


# 5
The following is a DFT calculation (PBE) of a relaxed Zr6FeSn2H10 crystal.

Results
Volume   11.22 Å³ per atom
Energy relative to the elements   -521 meV/atom

Geometry as CIF:
```
data_Zr6FeSn2H10
_chemical_formula_sum 'Zr12 Fe2 Sn4 H20'
_cell_length_a 8.1905
_cell_length_b 8.1905
_cell_length_c 7.3398
_cell_angle_alpha 90.00
_cell_angle_beta 90.00
_cell_angle_gamma 120.00
_symmetry_space_group_name_H-M 'P -6 2 c'
_symmetry_Int_Tables_number 190
_symmetry_space_group_name_Hall 'P -6c -2c'
loop_
_atom_site_label
_atom_site_type_symbol
_atom_site_fract_x
_atom_site_fract_y
_atom_site_fract_z
Zr1 Zr 0.0000 0.7458 0.0000
Zr2 Zr 0.0466 0.4210 0.2500
Fe1 Fe 0.0000 0.0000 0.2500
Sn1 Sn 0.3333 0.6667 0.5429
H1 H 0.0000 0.0000 0.0000
H2 H 0.0000 0.2792 0.0000
H3 H 0.1119 0.7084 0.2500
H4 H 0.1184 0.2370 0.7500
```


# 6
The following is a DFT calculation (PBE) of a relaxed Tb2Fe17H3 crystal.

Results
Volume   11.81 Å³ per atom
Energy relative to the elements   -82 meV/atom

Geometry as CIF:
```
data_Tb2Fe17H3
_chemical_formula_sum 'Tb4 Fe34 H6'
_cell_length_a 8.5465
_cell_length_b 8.5465
_cell_length_c 8.2166
_cell_angle_alpha 90.00
_cell_angle_beta 90.00
_cell_angle_gamma 120.00
_symmetry_space_group_name_H-M 'P 63/m m c'
_symmetry_Int_Tables_number 194
_symmetry_space_group_name_Hall '-P 6c 2c'
loop_
_atom_site_label
_atom_site_type_symbol
_atom_site_fract_x
_atom_site_fract_y
_atom_site_fract_z
Tb1 Tb 0.0000 0.0000 0.2500
Tb2 Tb 0.3333 0.6667 0.2500
Fe1 Fe 0.0000 0.5000 0.0000
Fe2 Fe 0.0483 0.3772 0.7500
Fe3 Fe 0.1666 0.3333 0.0155
Fe4 Fe 0.3333 0.6667 0.6052
H1 H 0.1649 0.3298 0.2500
```


# 7
The following is a DFT calculation (PBE) of a relaxed TiFeH crystal.

Results
Volume   9.44 Å³ per atom
Energy relative to the elements   -374 meV/atom

Geometry as CIF:
```
data_TiFeH
_chemical_formula_sum 'Ti2 Fe2 H2'
_cell_length_a 4.278
_cell_length_b 2.905
_cell_length_c 4.558
_cell_angle_alpha 90.00
_cell_angle_beta 90.00
_cell_angle_gamma 90.00
_symmetry_space_group_name_H-M 'P m m a'
_symmetry_Int_Tables_number 51
loop_
_symmetry_equiv_pos_as_xyz
'x,y,z'
'-x,-y,-z'
'-x+1/2,-y,z'
'x+1/2,y,-z'
'x+1/2,-y,-z'
'-x+1/2,y,z'
'-x,y,-z'
'x,-y,z'
loop_
_atom_site_label
_atom_site_type_symbol
_atom_site_fract_x
_atom_site_fract_y
_atom_site_fract_z
Ti1 Ti 0.250 0.000 0.249
Fe1 Fe 0.250 0.500 0.803
H1 H 0.000 0.500 0.500
```


# 8
The following is a DFT calculation (PBE) of a relaxed TiFeH2 crystal.

Results
Volume   7.51 Å³ per atom
Energy above the most stable polymorph in this dataset   0.0000 eV/atom
Energy relative to the elements   -360 meV/atom

Geometry as CIF:
```
data_TiFeH2
_chemical_formula_sum 'Ti4 Fe4 H8'
_cell_length_a 6.144
_cell_length_b 7.026
_cell_length_c 2.784
_cell_angle_alpha 90.00
_cell_angle_beta 90.00
_cell_angle_gamma 90.00
_symmetry_space_group_name_H-M 'C m m m'
_symmetry_Int_Tables_number 65
_symmetry_space_group_name_Hall '-C 2 2'
loop_
_atom_site_label
_atom_site_type_symbol
_atom_site_fract_x
_atom_site_fract_y
_atom_site_fract_z
Ti1 Ti 0.000 0.217 0.000
Fe1 Fe 0.205 0.500 0.500
H1 H 0.000 0.000 0.500
H2 H 0.000 0.500 0.000
H3 H 0.250 0.250 0.500
```


What did the sixth record say?
The following is a DFT calculation (PBE) of a relaxed Tb2Fe17H3 crystal.

Results
Volume   11.81 Å³ per atom
Energy relative to the elements   -82 meV/atom

Geometry as CIF:
```
data_Tb2Fe17H3
_chemical_formula_sum 'Tb4 Fe34 H6'
_cell_length_a 8.5465
_cell_length_b 8.5465
_cell_length_c 8.2166
_cell_angle_alpha 90.00
_cell_angle_beta 90.00
_cell_angle_gamma 120.00
_symmetry_space_group_name_H-M 'P 63/m m c'
_symmetry_Int_Tables_number 194
_symmetry_space_group_name_Hall '-P 6c 2c'
loop_
_atom_site_label
_atom_site_type_symbol
_atom_site_fract_x
_atom_site_fract_y
_atom_site_fract_z
Tb1 Tb 0.0000 0.0000 0.2500
Tb2 Tb 0.3333 0.6667 0.2500
Fe1 Fe 0.0000 0.5000 0.0000
Fe2 Fe 0.0483 0.3772 0.7500
Fe3 Fe 0.1666 0.3333 0.0155
Fe4 Fe 0.3333 0.6667 0.6052
H1 H 0.1649 0.3298 0.2500
```


Question: Which value of energy relative to the elements does entry 7 give?
Answer: -374 meV/atom